Entry one
B PBE-GGA relaxed; space-group type = C2/m, No. 12; ρ = 1777 kg/m3
1.0
3.757 -4.132 0.000
3.757 4.132 0.000
-2.233 0.000 3.905
B
12
Direct
0.002 0.755 0.968 B
0.088 0.088 0.320 B
0.118 0.482 0.932 B
0.205 0.205 0.760 B
0.245 0.998 0.032 B
0.482 0.118 0.932 B
0.518 0.882 0.068 B
0.755 0.002 0.968 B
0.795 0.795 0.240 B
0.882 0.518 0.068 B
0.912 0.912 0.680 B
0.998 0.245 0.032 B

Entry two
B PBE-GGA relaxed; space-group type = Fm-3m, No. 225; ρ = 2119 kg/m3
1.0
0.000 3.704 3.704
3.704 0.000 3.704
3.704 3.704 0.000
B
12
Direct
0.000 0.000 0.338 B
0.000 0.000 0.662 B
0.000 0.338 0.000 B
0.000 0.338 0.662 B
0.000 0.662 0.000 B
0.000 0.662 0.338 B
0.338 0.000 0.000 B
0.338 0.000 0.662 B
0.338 0.662 0.000 B
0.662 0.000 0.000 B
0.662 0.000 0.338 B
0.662 0.338 0.000 B

Entry three
B PBE-GGA relaxed; space-group type = P4_2/nnm, No. 134; ρ = 2318 kg/m3
1.0
8.866 0.000 0.000
0.000 8.866 0.000
0.000 0.000 4.926
B
50
Direct
0.004 0.504 0.176 B
0.004 0.996 0.324 B
0.021 0.667 0.662 B
0.021 0.833 0.838 B
0.080 0.164 0.844 B
0.080 0.336 0.656 B
0.121 0.621 0.357 B
0.121 0.879 0.143 B
0.164 0.080 0.156 B
0.164 0.420 0.344 B
0.167 0.521 0.662 B
0.167 0.979 0.838 B
0.250 0.750 0.250 B
0.333 0.521 0.838 B
0.333 0.979 0.662 B
0.336 0.080 0.344 B
0.336 0.420 0.156 B
0.379 0.621 0.143 B
0.379 0.879 0.357 B
0.420 0.164 0.656 B
0.420 0.336 0.844 B
0.479 0.667 0.838 B
0.479 0.833 0.662 B
0.496 0.504 0.324 B
0.496 0.996 0.176 B
0.504 0.004 0.824 B
0.504 0.496 0.676 B
0.521 0.167 0.338 B
0.521 0.333 0.162 B
0.580 0.664 0.156 B
0.580 0.836 0.344 B
0.621 0.121 0.643 B
0.621 0.379 0.857 B
0.664 0.580 0.844 B
0.664 0.920 0.656 B
0.667 0.021 0.338 B
0.667 0.479 0.162 B
0.750 0.250 0.750 B
0.833 0.021 0.162 B
0.833 0.479 0.338 B
0.836 0.580 0.656 B
0.836 0.920 0.844 B
0.879 0.121 0.857 B
0.879 0.379 0.643 B
0.920 0.664 0.344 B
0.920 0.836 0.156 B
0.979 0.167 0.162 B
0.979 0.333 0.338 B
0.996 0.004 0.676 B
0.996 0.496 0.824 B

So which one is most stable? That would be entry three, about 21.5 kJ/mol of atoms below the next structure.